# Mo3WSe2S6 (PBE-GGA, relaxed)
# Excess energy over the best structure of this formula in the dataset (meV/atom): 18
# Formation energy (eV per atom): -1.029
# Total magnetic moment (μB per atom): 0.0000
data_Mo3WSe2S6
_symmetry_space_group_name_H-M 'P 1'
_symmetry_Int_Tables_number 1
_cell_length_a 3.2223
_cell_length_b 3.2223
_cell_length_c 36.3815
_cell_angle_alpha 90.00
_cell_angle_beta 90.00
_cell_angle_gamma 120.00
loop_
_symmetry_equiv_pos_as_xyz
'x,y,z'
loop_
_atom_site_label
_atom_site_fract_x
_atom_site_fract_y
_atom_site_fract_z
_atom_site_occupancy
Mo1 0.3333 0.6667 0.4697 1
Mo2 0.6667 0.3333 0.2818 1
Mo3 0.3333 0.6667 0.0939 1
W1 0.6667 0.3333 0.6575 1
Se1 0.3333 0.6667 0.7049 1
Se2 0.3333 0.6667 0.6102 1
S1 0.3333 0.6667 0.2391 1
S2 0.3333 0.6667 0.3245 1
S3 0.6667 0.3333 0.4269 1
S4 0.6667 0.3333 0.0512 1
S5 0.6667 0.3333 0.1367 1
S6 0.6667 0.3333 0.5124 1